## Tm4CuGe8 (PBE)

Data for an optimized crystal structure of Tm4CuGe8. Values from VASP.

Geometry as Quantum ESPRESSO input:
```
&SYSTEM
  ibrav = 0, nat = 13, ntyp = 3
/
ATOMIC_SPECIES
Tm 168.93 Tm.upf
Cu 63.55 Cu.upf
Ge 72.64 Ge.upf
ATOMIC_POSITIONS angstrom
Tm 0.0000 1.6063 0.9870
Tm 2.0171 9.9190 0.9870
Tm 2.0171 6.4922 2.9609
Tm 0.0000 14.5527 2.9609
Cu 0.0000 5.2642 0.9870
Ge 0.0000 7.5903 0.9870
Ge 2.0171 15.3933 0.9870
Ge 2.0171 0.7619 2.9609
Ge 0.0000 9.1893 2.9609
Ge 2.0171 3.8555 0.9870
Ge 0.0000 12.1755 0.9870
Ge 0.0000 3.8482 2.9609
Ge 2.0171 12.2974 2.9609
CELL_PARAMETERS angstrom
0.0000 0.0000 3.9479
4.0342 0.0000 0.0000
0.0000 16.2940 0.0000
```

Summary:
Space-group type: Pmm2 (25)
Final energy (eV/atom): -5.09
Spin magnetization (Bohr magnetons per cell): 0.001
Calculated volume (A^3/atom): 19.96
Formation energy from the elements (eV per atom): -0.5571